# 1
The following is a GGA-PBE calculation of crystalline CsPrHgSe3 at its relaxed geometry, from the Materials Project database.

Cell lengths 8.4873, 8.4873, 11.4740 Å; angles 90.00, 90.00, 149.72 degrees
Sites, in units of the cell vectors:
Cs  0.2552  0.7448  0.7500
Cs  0.7448  0.2552  0.2500
Pr  0.0000  0.0000  0.5000
Pr  0.0000  0.0000  0.0000
Hg  0.4585  0.5415  0.2500
Hg  0.5415  0.4585  0.7500
Se  0.0629  0.9371  0.2500
Se  0.9371  0.0629  0.7500
Se  0.6214  0.3786  0.5496
Se  0.6214  0.3786  0.9504
Se  0.3786  0.6214  0.0496
Se  0.3786  0.6214  0.4504

Computed properties:
electronic total energy = -3.976 eV/atom
energy relative to the elements = -1.467 eV/atom

# 2
The following is a GGA-PBE calculation of crystalline Cs2Hg3Se4 at its relaxed geometry, from the Materials Project database.

Cell lengths 10.3421, 10.3421, 10.3421 Å; angles 142.24, 106.17, 86.04 degrees
Sites, in units of the cell vectors:
Cs  0.6198  0.2324  0.8522
Cs  0.3802  0.7676  0.1478
Cs  0.1198  0.2676  0.3874
Cs  0.8802  0.7324  0.6126
Hg  0.7500  0.7500  0.0000
Hg  0.2500  0.2500  0.0000
Hg  0.0834  0.7500  0.3334
Hg  0.4166  0.7500  0.6666
Hg  0.9166  0.2500  0.6666
Hg  0.5834  0.2500  0.3334
Se  0.9908  0.6384  0.9135
Se  0.7249  0.0773  0.0865
Se  0.7751  0.8616  0.3523
Se  0.5092  0.4227  0.6477
Se  0.0092  0.3616  0.0865
Se  0.2751  0.9227  0.9135
Se  0.2249  0.1384  0.6477
Se  0.4908  0.5773  0.3523

Computed properties:
electronic total energy = -2.454 eV/atom
energy relative to the elements = -0.810 eV/atom

# 3
The following is a GGA-PBE calculation of crystalline Cs2UHg2Se5 at its relaxed geometry, from the Materials Project database.

Cell lengths 4.3768, 10.4506, 16.9205 Å; angles 65.43, 90.00, 90.00 degrees
Sites, in units of the cell vectors:
Cs  0.6865  0.7694  0.9458
Cs  0.6865  0.2306  0.5542
Cs  0.3135  0.7694  0.4458
Cs  0.3135  0.2306  0.0542
U  0.7946  0.5000  0.7500
U  0.2054  0.5000  0.2500
Hg  0.3726  0.8299  0.7028
Hg  0.3726  0.1701  0.7972
Hg  0.6274  0.8299  0.2028
Hg  0.6274  0.1701  0.2972
Se  0.8192  0.2179  0.8823
Se  0.7044  0.5538  0.3434
Se  0.2956  0.4462  0.6566
Se  0.1808  0.7821  0.1177
Se  0.1808  0.2179  0.3823
Se  0.7044  0.4462  0.1566
Se  0.0800  0.0000  0.7500
Se  0.2956  0.5538  0.8434
Se  0.8192  0.7821  0.6177
Se  0.9200  0.0000  0.2500

Computed properties:
electronic total energy = -3.979 eV/atom
energy relative to the elements = -1.098 eV/atom

# 4
The following is a GGA-PBE calculation of crystalline Cs4Sn21Hg2 at its relaxed geometry, from the Materials Project database.

Cell lengths 12.5341, 12.5341, 12.5345 Å; angles 90.00, 90.00, 90.03 degrees
Sites, in units of the cell vectors:
Cs  0.4997  0.9998  0.2500
Cs  0.0002  0.5003  0.7500
Cs  0.4993  0.5007  0.0000
Cs  0.0008  0.2489  0.2500
Cs  0.7511  0.9992  0.7500
Cs  0.4993  0.5007  0.5000
Cs  0.0007  0.7510  0.2500
Cs  0.2490  0.9993  0.7500
Sn  0.6843  0.1834  0.0665
Sn  0.3175  0.8174  0.4326
Sn  0.6835  0.8174  0.4337
Sn  0.3165  0.1835  0.0674
Sn  0.3175  0.8174  0.0674
Sn  0.6843  0.1834  0.4335
Sn  0.3165  0.1835  0.4326
Sn  0.6835  0.8174  0.0663
Sn  0.1826  0.3165  0.9337
Sn  0.8165  0.6835  0.5674
Sn  0.1826  0.6825  0.5674
Sn  0.8166  0.3157  0.9335
Sn  0.8166  0.3157  0.5665
Sn  0.1826  0.6825  0.9326
Sn  0.8165  0.6835  0.9326
Sn  0.1826  0.3165  0.5663
Sn  0.4999  0.1170  0.9424
Sn  0.6163  0.3081  0.2500
Sn  0.8120  0.0000  0.1320
Sn  0.5000  0.8799  0.5632
Sn  0.3801  0.6867  0.2500
Sn  0.1881  0.0000  0.3683
Sn  0.6168  0.6921  0.2500
Sn  0.8120  0.0000  0.3680
Sn  0.3805  0.3135  0.2500
Sn  0.1881  0.0000  0.1317
Sn  0.5000  0.8799  0.9368
Sn  0.4999  0.1170  0.5576
Sn  0.0000  0.1880  0.8680
Sn  0.1201  0.5000  0.0632
Sn  0.3079  0.3832  0.7500
Sn  0.0000  0.8119  0.6317
Sn  0.8830  0.5001  0.4424
Sn  0.6865  0.6195  0.7500
Sn  0.1201  0.5000  0.4368
Sn  0.3133  0.6199  0.7500
Sn  0.8830  0.5001  0.0576
Sn  0.6919  0.3837  0.7500
Sn  0.0000  0.1880  0.6320
Sn  0.0000  0.8119  0.8683
Sn  0.5003  0.2499  0.7500
Sn  0.7501  0.4997  0.2500
Hg  0.9999  0.0001  0.0000
Hg  0.5001  0.7499  0.7500
Hg  0.2501  0.4999  0.2500
Hg  0.9999  0.0001  0.5000

Computed properties:
electronic total energy = -3.460 eV/atom
energy relative to the elements = -0.187 eV/atom

# 5
The following is a GGA-PBE calculation of crystalline Cs2HgTe at its relaxed geometry, from the Materials Project database.

Cell lengths 6.4362, 6.4362, 6.4362 Å; angles 60.00, 60.00, 60.00 degrees
Sites, in units of the cell vectors:
Cs  0.7500  0.7500  0.7500
Cs  0.2500  0.2500  0.2500
Hg  0.5000  0.5000  0.5000
Te  0.0000  0.0000  0.0000

Computed properties:
electronic total energy = -2.065 eV/atom
energy relative to the lowest polymorph listed for this composition = 0.0000 eV/atom
energy relative to the elements = -0.861 eV/atom

# 6
The following is a GGA-PBE calculation of crystalline CsHoMnSe3 at its relaxed geometry, from the Materials Project database.

Cell lengths 8.3688, 8.3688, 11.0252 Å; angles 90.00, 90.00, 150.63 degrees
Sites, in units of the cell vectors:
Cs  0.2576  0.7424  0.2500
Cs  0.7424  0.2576  0.7500
Ho  0.0000  0.0000  0.0000
Ho  0.0000  0.0000  0.5000
Mn  0.5371  0.4629  0.2500
Mn  0.4629  0.5371  0.7500
Se  0.6153  0.3847  0.0560
Se  0.3847  0.6153  0.9440
Se  0.3847  0.6153  0.5560
Se  0.6153  0.3847  0.4440
Se  0.9460  0.0540  0.2500
Se  0.0540  0.9460  0.7500

Computed properties:
electronic total energy = -5.518 eV/atom
energy relative to the elements = -1.566 eV/atom

# 7
The following is a GGA-PBE calculation of crystalline CsHoS2 at its relaxed geometry, from the Materials Project database.

Cell lengths 4.0829, 4.0829, 8.3888 Å; angles 75.92, 75.92, 60.00 degrees
Sites, in units of the cell vectors:
Cs  0.0000  0.0000  0.0000
Ho  0.5000  0.5000  0.5000
S  0.2273  0.2273  0.3181
S  0.7727  0.7727  0.6819

Computed properties:
electronic total energy = -5.254 eV/atom
energy relative to the elements = -2.068 eV/atom

# 8
The following is a GGA-PBE calculation of crystalline CsHoS2 at its relaxed geometry, from the Materials Project database.

Cell lengths 4.0905, 4.0905, 16.0767 Å; angles 90.00, 90.00, 120.00 degrees
Sites, in units of the cell vectors:
Cs  0.3333  0.6667  0.7500
Cs  0.6667  0.3333  0.2500
Ho  0.0000  0.0000  0.5000
Ho  0.0000  0.0000  0.0000
S  0.3333  0.6667  0.0903
S  0.6667  0.3333  0.9097
S  0.6667  0.3333  0.5903
S  0.3333  0.6667  0.4097

Computed properties:
electronic total energy = -5.255 eV/atom
energy relative to the elements = -2.069 eV/atom

# 9
The following is a GGA-PBE calculation of crystalline CsHoSiS4 at its relaxed geometry, from the Materials Project database.

Cell lengths 6.3727, 6.7249, 17.8110 Å; angles 90.00, 90.00, 90.00 degrees
Sites, in units of the cell vectors:
Cs  0.5033  0.4919  0.9682
Cs  0.9967  0.5081  0.4682
Cs  0.0033  0.0081  0.0318
Cs  0.4967  0.9919  0.5318
Ho  0.2919  0.4806  0.2282
Ho  0.2081  0.5194  0.7282
Ho  0.7919  0.0194  0.7718
Ho  0.7081  0.9806  0.2718
Si  0.7900  0.5178  0.1675
Si  0.7100  0.4822  0.6675
Si  0.2900  0.9822  0.8325
Si  0.2100  0.0178  0.3325
S  0.0555  0.5128  0.0962
S  0.4445  0.4872  0.5962
S  0.5555  0.9872  0.9038
S  0.9445  0.0128  0.4038
S  0.6075  0.4267  0.7797
S  0.8925  0.5733  0.2797
S  0.1075  0.0733  0.2203
S  0.3925  0.9267  0.7203
S  0.5674  0.7506  0.1472
S  0.9326  0.2494  0.6472
S  0.0674  0.7494  0.8528
S  0.4326  0.2506  0.3528
S  0.6022  0.2539  0.1560
S  0.8978  0.7461  0.6560
S  0.1022  0.2461  0.8440
S  0.3978  0.7539  0.3440

Computed properties:
electronic total energy = -5.354 eV/atom
energy relative to the elements = -1.720 eV/atom

# 10
The following is a GGA-PBE calculation of crystalline Cs3I at its relaxed geometry, from the Materials Project database.

Cell lengths 13.4563, 13.4563, 5.0846 Å; angles 90.00, 90.00, 120.00 degrees
Sites, in units of the cell vectors:
Cs  0.2045  0.4089  0.2500
Cs  0.5911  0.7955  0.2500
Cs  0.2045  0.7955  0.2500
Cs  0.7955  0.5911  0.7500
Cs  0.4089  0.2045  0.7500
Cs  0.7955  0.2045  0.7500
I  0.3333  0.6667  0.7500
I  0.6667  0.3333  0.2500

Computed properties:
electronic total energy = -1.681 eV/atom
energy relative to the elements = -0.723 eV/atom

# 11
The following is a GGA-PBE calculation of crystalline CsInI4 at its relaxed geometry, from the Materials Project database.

Cell lengths 19.5774, 7.8195, 9.0330 Å; angles 73.74, 90.00, 90.00 degrees
Sites, in units of the cell vectors:
Cs  0.8695  0.1869  0.7102
Cs  0.6305  0.1869  0.2102
Cs  0.3695  0.8131  0.7898
Cs  0.1305  0.8131  0.2898
In  0.8725  0.8100  0.2961
In  0.3725  0.1900  0.2039
In  0.6275  0.8100  0.7961
In  0.1275  0.1900  0.7039
I  0.2501  0.3639  0.6406
I  0.0526  0.2712  0.4334
I  0.7499  0.6361  0.3594
I  0.5526  0.7288  0.0666
I  0.6572  0.1714  0.7090
I  0.8428  0.1714  0.2090
I  0.4474  0.2712  0.9334
I  0.2499  0.3639  0.1406
I  0.7501  0.6361  0.8594
I  0.9474  0.7288  0.5666
I  0.4485  0.2716  0.4303
I  0.9485  0.7284  0.0697
I  0.3428  0.8286  0.2910
I  0.1572  0.8286  0.7910
I  0.5515  0.7284  0.5697
I  0.0515  0.2716  0.9303

Computed properties:
electronic total energy = -2.533 eV/atom
energy relative to the elements = -1.162 eV/atom

# 12
The following is a GGA-PBE calculation of crystalline Cs3InI6 at its relaxed geometry, from the Materials Project database.

Cell lengths 9.2886, 9.2886, 9.2886 Å; angles 60.00, 60.00, 60.00 degrees
Sites, in units of the cell vectors:
Cs  0.7500  0.7500  0.7500
Cs  0.2500  0.2500  0.2500
Cs  0.5000  0.5000  0.5000
In  0.0000  0.0000  0.0000
I  0.7758  0.2242  0.2242
I  0.2242  0.2242  0.7758
I  0.2242  0.7758  0.7758
I  0.2242  0.7758  0.2242
I  0.7758  0.2242  0.7758
I  0.7758  0.7758  0.2242

Computed properties:
electronic total energy = -2.544 eV/atom
energy relative to the elements = -1.313 eV/atom

# 13
The following is a GGA-PBE calculation of crystalline Cs2RbInI6 at its relaxed geometry, from the Materials Project database.

Cell lengths 9.1096, 9.1096, 9.1096 Å; angles 60.00, 60.00, 60.00 degrees
Sites, in units of the cell vectors:
Cs  0.7500  0.7500  0.7500
Cs  0.2500  0.2500  0.2500
Rb  0.5000  0.5000  0.5000
In  0.0000  0.0000  0.0000
I  0.7713  0.2287  0.2287
I  0.2287  0.2287  0.7713
I  0.2287  0.7713  0.7713
I  0.2287  0.7713  0.2287
I  0.7713  0.2287  0.7713
I  0.7713  0.7713  0.2287

Computed properties:
electronic total energy = -2.557 eV/atom
energy relative to the elements = -1.318 eV/atom

# 14
The following is a GGA-PBE calculation of crystalline Cs2InSbI6 at its relaxed geometry, from the Materials Project database.

Cell lengths 8.8945, 8.8945, 8.8945 Å; angles 60.00, 60.00, 60.00 degrees
Sites, in units of the cell vectors:
Cs  0.7500  0.7500  0.7500
Cs  0.2500  0.2500  0.2500
In  0.5000  0.5000  0.5000
Sb  0.0000  0.0000  0.0000
I  0.7575  0.2425  0.2425
I  0.2425  0.2425  0.7575
I  0.2425  0.7575  0.7575
I  0.2425  0.7575  0.2425
I  0.7575  0.2425  0.7575
I  0.7575  0.7575  0.2425

Computed properties:
electronic total energy = -2.660 eV/atom
energy relative to the elements = -1.106 eV/atom

# 15
The following is a GGA-PBE calculation of crystalline Cs2YInI6 at its relaxed geometry, from the Materials Project database.

Cell lengths 9.0323, 9.0323, 9.0323 Å; angles 60.00, 60.00, 60.00 degrees
Sites, in units of the cell vectors:
Cs  0.7500  0.7500  0.7500
Cs  0.2500  0.2500  0.2500
Y  0.0000  0.0000  0.0000
In  0.5000  0.5000  0.5000
I  0.7626  0.2374  0.2374
I  0.2374  0.2374  0.7626
I  0.2374  0.7626  0.7626
I  0.2374  0.7626  0.2374
I  0.7626  0.2374  0.7626
I  0.7626  0.7626  0.2374

Computed properties:
electronic total energy = -3.301 eV/atom
energy relative to the elements = -1.513 eV/atom

# 16
The following is a GGA-PBE calculation of crystalline Cs2KMoI6 at its relaxed geometry, from the Materials Project database.

Cell lengths 8.7842, 8.7842, 8.7842 Å; angles 60.00, 60.00, 60.00 degrees
Sites, in units of the cell vectors:
Cs  0.7500  0.7500  0.7500
Cs  0.2500  0.2500  0.2500
K  0.5000  0.5000  0.5000
Mo  0.0000  0.0000  0.0000
I  0.7731  0.2269  0.2269
I  0.2269  0.2269  0.7731
I  0.2269  0.7731  0.7731
I  0.2269  0.7731  0.2269
I  0.7731  0.2269  0.7731
I  0.7731  0.7731  0.2269

Computed properties:
electronic total energy = -3.257 eV/atom
energy relative to the elements = -1.195 eV/atom

# 17
The following is a GGA-PBE calculation of crystalline Cs2KNdI6 at its relaxed geometry, from the Materials Project database.

Cell lengths 9.1963, 9.1963, 9.1963 Å; angles 60.00, 60.00, 60.00 degrees
Sites, in units of the cell vectors:
Cs  0.7500  0.7500  0.7500
Cs  0.2500  0.2500  0.2500
K  0.5000  0.5000  0.5000
Nd  0.0000  0.0000  0.0000
I  0.7608  0.2392  0.2392
I  0.2392  0.2392  0.7608
I  0.2392  0.7608  0.7608
I  0.2392  0.7608  0.2392
I  0.7608  0.2392  0.7608
I  0.7608  0.7608  0.2392

Computed properties:
electronic total energy = -3.168 eV/atom
energy relative to the elements = -1.714 eV/atom

# 18
The following is a GGA-PBE calculation of crystalline Cs2KPrI6 at its relaxed geometry, from the Materials Project database.

Cell lengths 9.2284, 9.2284, 9.2284 Å; angles 60.00, 60.00, 60.00 degrees
Sites, in units of the cell vectors:
Cs  0.7500  0.7500  0.7500
Cs  0.2500  0.2500  0.2500
K  0.5000  0.5000  0.5000
Pr  0.0000  0.0000  0.0000
I  0.7602  0.2398  0.2398
I  0.2398  0.2398  0.7602
I  0.2398  0.7602  0.7602
I  0.2398  0.7602  0.2398
I  0.7602  0.2398  0.7602
I  0.7602  0.7602  0.2398

Computed properties:
electronic total energy = -3.169 eV/atom
energy relative to the elements = -1.714 eV/atom

# 19
The following is a GGA-PBE calculation of crystalline Cs2KTaI6 at its relaxed geometry, from the Materials Project database.

Cell lengths 8.8011, 8.8011, 8.8011 Å; angles 60.00, 60.00, 60.00 degrees
Sites, in units of the cell vectors:
Cs  0.7500  0.7500  0.7500
Cs  0.2500  0.2500  0.2500
K  0.5000  0.5000  0.5000
Ta  0.0000  0.0000  0.0000
I  0.7716  0.2284  0.2284
I  0.2284  0.2284  0.7716
I  0.2284  0.7716  0.7716
I  0.2284  0.7716  0.2284
I  0.7716  0.2284  0.7716
I  0.7716  0.7716  0.2284

Computed properties:
electronic total energy = -3.371 eV/atom
energy relative to the elements = -1.208 eV/atom